[1]
Entry from Materials Project: a relaxed structure of TbSi2 (meta-GGA r2SCAN).

- Final energy: -16.843 eV/atom
- Space-group type: I4_1/amd

The structure in CIF format:
```
data_TbSi2
_symmetry_space_group_name_H-M 'P 1'
_symmetry_Int_Tables_number 1
_symmetry_space_group_name_Hall 'P 1'
_cell_length_a 3.9873
_cell_length_b 3.9873
_cell_length_c 14.4650
_cell_angle_alpha 90.00
_cell_angle_beta 90.00
_cell_angle_gamma 90.00
loop_
_atom_site_label
_atom_site_fract_x
_atom_site_fract_y
_atom_site_fract_z
Tb1 0.0000 0.2500 0.3750
Tb2 0.0000 0.7500 0.6250
Tb3 0.5000 0.2500 0.1250
Tb4 0.5000 0.7500 0.8750
Si1 0.0000 0.2500 0.7924
Si2 0.0000 0.2500 0.9576
Si3 0.0000 0.7500 0.0424
Si4 0.0000 0.7500 0.2076
Si5 0.5000 0.2500 0.5424
Si6 0.5000 0.2500 0.7076
Si7 0.5000 0.7500 0.2924
Si8 0.5000 0.7500 0.4576
```


[2]
Entry from Materials Project: a relaxed structure of Tm2SO2 (meta-GGA r2SCAN).

- Final energy: -21.645 eV/atom
- Space-group type: P-3m1

The structure in CIF format:
```
data_Tm2SO2
_symmetry_space_group_name_H-M 'P 1'
_symmetry_Int_Tables_number 1
_symmetry_space_group_name_Hall 'P 1'
_cell_length_a 3.7139
_cell_length_b 3.7139
_cell_length_c 6.4925
_cell_angle_alpha 90.00
_cell_angle_beta 90.00
_cell_angle_gamma 120.00
loop_
_atom_site_label
_atom_site_fract_x
_atom_site_fract_y
_atom_site_fract_z
Tm1 0.3333 0.6667 0.2840
Tm2 0.6667 0.3333 0.7160
S1 0.0000 0.0000 0.0000
O1 0.3333 0.6667 0.6291
O2 0.6667 0.3333 0.3709
```


[3]
Entry from Materials Project: a relaxed structure of Pu2S3 (meta-GGA r2SCAN).

- Final energy: -41.405 eV/atom
- Space-group type: R-3c

The structure in CIF format:
```
data_Pu2S3
_symmetry_space_group_name_H-M 'P 1'
_symmetry_Int_Tables_number 1
_symmetry_space_group_name_Hall 'P 1'
_cell_length_a 7.4046
_cell_length_b 7.4046
_cell_length_c 7.4046
_cell_angle_alpha 57.07
_cell_angle_beta 57.07
_cell_angle_gamma 57.07
loop_
_atom_site_label
_atom_site_fract_x
_atom_site_fract_y
_atom_site_fract_z
Pu1 0.1477 0.1477 0.1477
Pu2 0.3523 0.3523 0.3523
Pu3 0.6477 0.6477 0.6477
Pu4 0.8523 0.8523 0.8523
S1 0.0447 0.7500 0.4553
S2 0.2500 0.5447 0.9553
S3 0.4553 0.0447 0.7500
S4 0.5447 0.9553 0.2500
S5 0.7500 0.4553 0.0447
S6 0.9553 0.2500 0.5447
```


[4]
Entry from Materials Project: a relaxed structure of Sn2S3O12 (meta-GGA r2SCAN).

- Final energy: -10.017 eV/atom
- Space-group type: R-3

The structure in CIF format:
```
data_Sn2S3O12
_symmetry_space_group_name_H-M 'P 1'
_symmetry_Int_Tables_number 1
_symmetry_space_group_name_Hall 'P 1'
_cell_length_a 9.5048
_cell_length_b 9.5048
_cell_length_c 9.5048
_cell_angle_alpha 52.52
_cell_angle_beta 52.52
_cell_angle_gamma 52.52
loop_
_atom_site_label
_atom_site_fract_x
_atom_site_fract_y
_atom_site_fract_z
Sn1 0.1356 0.1356 0.1356
Sn2 0.3379 0.3379 0.3379
Sn3 0.6621 0.6621 0.6621
Sn4 0.8644 0.8644 0.8644
S1 0.0618 0.4350 0.7336
S2 0.2664 0.9382 0.5650
S3 0.4350 0.7336 0.0618
S4 0.5650 0.2664 0.9382
S5 0.7336 0.0618 0.4350
S6 0.9382 0.5650 0.2664
O1 0.0716 0.5548 0.7693
O2 0.1443 0.5198 0.2095
O3 0.1447 0.2308 0.8403
O4 0.1591 0.4765 0.5227
O5 0.1597 0.8553 0.7692
O6 0.2095 0.1443 0.5198
O7 0.2308 0.8403 0.1447
O8 0.2307 0.9284 0.4452
O9 0.4452 0.2307 0.9284
O10 0.4765 0.5227 0.1591
O11 0.4773 0.8409 0.5235
O12 0.4802 0.7905 0.8557
O13 0.5198 0.2095 0.1443
O14 0.5227 0.1591 0.4765
O15 0.5235 0.4773 0.8409
O16 0.5548 0.7693 0.0716
O17 0.7693 0.0716 0.5548
O18 0.7692 0.1597 0.8553
O19 0.7905 0.8557 0.4802
O20 0.8403 0.1447 0.2308
O21 0.8409 0.5235 0.4773
O22 0.8553 0.7692 0.1597
O23 0.8557 0.4802 0.7905
O24 0.9284 0.4452 0.2307
```


[5]
Entry from Materials Project: a relaxed structure of BiPO4 (meta-GGA r2SCAN).

- Final energy: -17.348 eV/atom
- Space-group type: P3_121

The structure in CIF format:
```
data_BiPO4
_symmetry_space_group_name_H-M 'P 1'
_symmetry_Int_Tables_number 1
_symmetry_space_group_name_Hall 'P 1'
_cell_length_a 6.9725
_cell_length_b 6.9725
_cell_length_c 6.4398
_cell_angle_alpha 90.00
_cell_angle_beta 90.00
_cell_angle_gamma 120.00
loop_
_atom_site_label
_atom_site_fract_x
_atom_site_fract_y
_atom_site_fract_z
Bi1 0.0000 0.4800 0.1667
Bi2 0.4800 0.0000 0.8333
Bi3 0.5200 0.5200 0.5000
P1 0.0000 0.4398 0.6667
P2 0.4398 0.0000 0.3333
P3 0.5602 0.5602 0.0000
O1 0.1246 0.6261 0.8264
O2 0.1571 0.3943 0.5359
O3 0.2372 0.8429 0.2025
O4 0.3739 0.4985 0.1597
O5 0.3943 0.1571 0.4641
O6 0.4985 0.3739 0.8403
O7 0.5015 0.8754 0.4930
O8 0.6057 0.7628 0.8692
O9 0.6261 0.1246 0.1736
O10 0.7628 0.6057 0.1308
O11 0.8429 0.2372 0.7975
O12 0.8754 0.5015 0.5070
```


[6]
Entry from Materials Project: a relaxed structure of K6Si2O7 (meta-GGA r2SCAN).

- Final energy: -8.744 eV/atom
- Space-group type: P2_1/c

The structure in CIF format:
```
data_K6Si2O7
_symmetry_space_group_name_H-M 'P 1'
_symmetry_Int_Tables_number 1
_symmetry_space_group_name_Hall 'P 1'
_cell_length_a 6.4381
_cell_length_b 8.8711
_cell_length_c 10.8652
_cell_angle_alpha 90.00
_cell_angle_beta 124.88
_cell_angle_gamma 90.00
loop_
_atom_site_label
_atom_site_fract_x
_atom_site_fract_y
_atom_site_fract_z
K1 0.0291 0.1490 0.4139
K2 0.0291 0.3510 0.9139
K3 0.2073 0.5266 0.4556
K4 0.2073 0.9734 0.9556
K5 0.3968 0.2182 0.2773
K6 0.3968 0.2818 0.7773
K7 0.6032 0.7182 0.2227
K8 0.6032 0.7818 0.7227
K9 0.7927 0.0266 0.0444
K10 0.7927 0.4734 0.5444
K11 0.9709 0.6490 0.0861
K12 0.9709 0.8510 0.5861
Si1 0.3258 0.6361 0.8742
Si2 0.3258 0.8639 0.3742
Si3 0.6742 0.1361 0.6258
Si4 0.6742 0.3639 0.1258
O1 0.0726 0.6589 0.8727
O2 0.0726 0.8411 0.3727
O3 0.2596 0.5817 0.7124
O4 0.2596 0.9183 0.2124
O5 0.4946 0.2146 0.0652
O6 0.4946 0.2854 0.5652
O7 0.5000 0.0000 0.5000
O8 0.5000 0.5000 0.0000
O9 0.5054 0.7146 0.4348
O10 0.5054 0.7854 0.9348
O11 0.7404 0.0817 0.7876
O12 0.7404 0.4183 0.2876
O13 0.9274 0.1589 0.6273
O14 0.9274 0.3411 0.1273
```


[7]
Entry from Materials Project: a relaxed structure of Sr2CeO4 (meta-GGA r2SCAN).

- Final energy: -15.495 eV/atom
- Space-group type: Pbam

The structure in CIF format:
```
data_Sr2CeO4
_symmetry_space_group_name_H-M 'P 1'
_symmetry_Int_Tables_number 1
_symmetry_space_group_name_Hall 'P 1'
_cell_length_a 6.1241
_cell_length_b 10.3448
_cell_length_c 3.6184
_cell_angle_alpha 90.00
_cell_angle_beta 90.00
_cell_angle_gamma 90.00
loop_
_atom_site_label
_atom_site_fract_x
_atom_site_fract_y
_atom_site_fract_z
Sr1 0.0636 0.1793 0.0000
Sr2 0.4364 0.6793 0.0000
Sr3 0.5636 0.3207 0.0000
Sr4 0.9364 0.8207 0.0000
Ce1 0.0000 0.5000 0.5000
Ce2 0.5000 0.0000 0.5000
O1 0.1433 0.6940 0.5000
O2 0.2261 0.4570 0.0000
O3 0.2739 0.9570 0.0000
O4 0.3567 0.1940 0.5000
O5 0.6433 0.8060 0.5000
O6 0.7261 0.0430 0.0000
O7 0.7739 0.5430 0.0000
O8 0.8567 0.3060 0.5000
```


[8]
Entry from Materials Project: a relaxed structure of SiO2 (meta-GGA r2SCAN).

- Final energy: -9.923 eV/atom
- Space-group type: Cmcm

The structure in CIF format:
```
data_SiO2
_symmetry_space_group_name_H-M 'P 1'
_symmetry_Int_Tables_number 1
_symmetry_space_group_name_Hall 'P 1'
_cell_length_a 8.5792
_cell_length_b 8.5792
_cell_length_c 14.0044
_cell_angle_alpha 90.00
_cell_angle_beta 90.00
_cell_angle_gamma 110.03
loop_
_atom_site_label
_atom_site_fract_x
_atom_site_fract_y
_atom_site_fract_z
Si1 0.0798 0.6071 0.6398
Si2 0.0798 0.6071 0.8602
Si3 0.2330 0.4494 0.0180
Si4 0.2330 0.4494 0.4820
Si5 0.3929 0.9202 0.6398
Si6 0.3929 0.9202 0.8602
Si7 0.4494 0.2330 0.5180
Si8 0.4494 0.2330 0.9820
Si9 0.5506 0.7670 0.0180
Si10 0.5506 0.7670 0.4820
Si11 0.6071 0.0798 0.1398
Si12 0.6071 0.0798 0.3602
Si13 0.7670 0.5506 0.5180
Si14 0.7670 0.5506 0.9820
Si15 0.9202 0.3929 0.1398
Si16 0.9202 0.3929 0.3602
O1 0.0724 0.5525 0.7500
O2 0.1024 0.4046 0.1048
O3 0.1024 0.4046 0.3952
O4 0.1456 0.4834 0.5781
O5 0.1456 0.4834 0.9219
O6 0.2039 0.7961 0.6270
O7 0.2039 0.7961 0.8730
O8 0.2951 0.2951 0.0000
O9 0.2951 0.2951 0.5000
O10 0.3879 0.6121 0.0465
O11 0.3879 0.6121 0.4535
O12 0.4046 0.1024 0.6048
O13 0.4046 0.1024 0.8952
O14 0.4475 0.9276 0.7500
O15 0.4834 0.1456 0.0781
O16 0.4834 0.1456 0.4219
O17 0.5166 0.8544 0.5781
O18 0.5166 0.8544 0.9219
O19 0.5525 0.0724 0.2500
O20 0.5954 0.8976 0.1048
O21 0.5954 0.8976 0.3952
O22 0.6121 0.3879 0.5465
O23 0.6121 0.3879 0.9535
O24 0.7049 0.7049 0.0000
O25 0.7049 0.7049 0.5000
O26 0.7961 0.2039 0.1270
O27 0.7961 0.2039 0.3730
O28 0.8544 0.5166 0.0781
O29 0.8544 0.5166 0.4219
O30 0.8976 0.5954 0.6048
O31 0.8976 0.5954 0.8952
O32 0.9276 0.4475 0.2500
```